The following is a DFT calculation (PBE) of crystalline Si12HN8 at its relaxed geometry.

Cell and atoms, written as extended XYZ:
```
21
Lattice="6.7097 0.0000 0.0000 0.0000 6.7097 0.0000 0.0000 0.0000 6.6963" Properties=species:S:1:pos:R:3 pbc="T T T"
Si 3.3549 1.1967 1.2019
Si 3.3549 5.5173 5.5118
Si 3.3549 5.5131 1.2019
Si 3.3549 1.1924 5.5118
Si 5.5131 3.3549 1.2019
Si 1.1924 3.3549 5.5118
Si 5.5173 3.3549 5.5118
Si 1.1967 3.3549 1.2019
Si 5.5150 1.1947 3.3536
Si 1.1947 5.5150 3.3536
Si 1.1947 1.1947 3.3536
Si 5.5150 5.5150 3.3536
H 3.3549 3.3549 3.7285
N 4.8430 1.8667 1.8704
N 4.8620 4.8620 4.8560
N 1.8667 4.8430 1.8704
N 1.8478 1.8478 4.8560
N 1.8478 4.8620 4.8560
N 1.8667 1.8667 1.8704
N 4.8620 1.8478 4.8560
N 4.8430 4.8430 1.8704
```

## Properties
- Size of the total moment: 1.00 μB/f.u.
- Symmetry: P4mm, No. 99
- Calculated formation energy: -0.50 eV per atom